[1]
Compound: CaHfMg6O8
Source: Materials Project
Functional: PBE
Structure: relaxed

Its relative energy among the computed polymorphs is 0 meV/atom. The energy of formation from the pure elements is -2.86 eV per atom.

It has space group P4/mmm (No. 123), with a = 4.411 Å, b = 4.411 Å, c = 8.892 Å, α = 90.00°, β = 90.00° and γ = 90.00°. The inequivalent atoms are Ca at (0.000, 0.000, 0.000), Hf at (0.500, 0.500, 0.000), Mg at (0.000, 0.000, 0.500), Mg at (0.000, 0.500, 0.264), Mg at (0.500, 0.500, 0.500), O at (0.000, 0.000, 0.267), O at (0.000, 0.500, 0.000), O at (0.000, 0.500, 0.500) and O at (0.500, 0.500, 0.257).

=====

[2]
Compound: Ca7HfN6
Source: Materials Project
Functional: PBE
Structure: relaxed

The energy of formation from the pure elements is -1.13 eV per atom.

It has space group Ibam (No. 72), with a = 6.388 Å, b = 11.762 Å, c = 13.045 Å, α = 90.00°, β = 90.00° and γ = 90.00°. The inequivalent atoms are Ca at (0.000, 0.000, 0.250), Ca at (0.116, 0.272, 0.122), Ca at (0.220, 0.042, 0.000), Hf at (0.000, 0.500, 0.250), N at (0.119, 0.157, 0.500) and N at (0.198, 0.392, 0.329).

=====

Q: Which value of energy of formation from the pure elements does entry 1 give?
A: -2.86 eV per atom

=====

Q: The highest energy of formation from the pure elements belongs to which entry?
A: Ca7HfN6